# Na2HF4

Na2HF4 after structural relaxation (PBE, the Materials Project).

a b c (Å): 3.588 4.792 6.002
angles (deg): 69.48 90.00 90.00
Element x y z (fractional)
Na1 0.000 0.000 0.000
Na2 0.500 0.500 0.500
H1 0.500 0.500 0.000
F1 0.000 0.844 0.425
F2 0.500 0.328 0.908
F3 0.500 0.672 0.092
F4 0.000 0.156 0.575

Computed properties:
energy of formation from the pure elements: -2.290 eV per atom
space-group type: No. 10
total energy: -3.98 eV per atom

=====

# DyRu3C

DyRu3C after structural relaxation (PBE, the Materials Project).

a b c (Å): 4.161 4.161 4.161
angles (deg): 90.00 90.00 90.00
Element x y z (fractional)
Dy1 0.500 0.500 0.500
Ru1 0.500 0.000 0.000
Ru2 0.000 0.500 0.000
Ru3 0.000 0.000 0.500
C1 0.000 0.000 0.000

Computed properties:
energy of formation from the pure elements: -0.215 eV per atom
space-group type: No. 221
total energy: -8.55 eV per atom

=====

# KHfNbInO6

KHfNbInO6 after structural relaxation (PBE, the Materials Project).

a b c (Å): 5.790 5.790 5.790
angles (deg): 60.00 60.00 60.00
Element x y z (fractional)
K1 0.750 0.750 0.750
Hf1 0.000 0.000 0.000
Nb1 0.500 0.500 0.500
In1 0.250 0.250 0.250
O1 0.746 0.254 0.254
O2 0.254 0.746 0.746
O3 0.746 0.254 0.746
O4 0.254 0.746 0.254
O5 0.746 0.746 0.254
O6 0.254 0.254 0.746

Computed properties:
energy of formation from the pure elements: -2.778 eV per atom
space-group type: No. 216
total energy: -7.73 eV per atom

=====

Copy entry 2 word for word.
# DyRu3C

DyRu3C after structural relaxation (PBE, the Materials Project).

a b c (Å): 4.161 4.161 4.161
angles (deg): 90.00 90.00 90.00
Element x y z (fractional)
Dy1 0.500 0.500 0.500
Ru1 0.500 0.000 0.000
Ru2 0.000 0.500 0.000
Ru3 0.000 0.000 0.500
C1 0.000 0.000 0.000

Computed properties:
energy of formation from the pure elements: -0.215 eV per atom
space-group type: No. 221
total energy: -8.55 eV per atom

=====

Q: Which value of total energy does entry 2 give?
A: -8.55 eV per atom